[1]
VASP calculation (GGA-PBE) on an optimized crystal structure of MnGaRh2.

Output
The crystal system is tetragonal.

Cell and atoms, written as CIF:
```
data_MnGaRh2
_chemical_formula_sum 'Mn1 Ga1 Rh2'
_symmetry_space_group_name_H-M 'P 4/m m m'
_symmetry_Int_Tables_number 123
_symmetry_space_group_name_Hall '-P 4 2'
_cell_length_a 3.054
_cell_length_b 3.054
_cell_length_c 6.048
_cell_angle_alpha 90.00
_cell_angle_beta 90.00
_cell_angle_gamma 90.00
loop_
_atom_site_label
_atom_site_type_symbol
_atom_site_fract_x
_atom_site_fract_y
_atom_site_fract_z
Mn1 Mn 0.000 0.000 0.000
Ga1 Ga 0.000 0.000 0.500
Rh1 Rh 0.500 0.500 0.256
```

---

[2]
VASP calculation (GGA-PBE) on an optimized crystal structure of Mn2Ga2S5.

Output
The crystal system is trigonal.

Cell and atoms, written as CIF:
```
data_Mn2Ga2S5
_chemical_formula_sum 'Mn2 Ga2 S5'
_symmetry_space_group_name_H-M 'P -3 m 1'
_symmetry_Int_Tables_number 164
_symmetry_space_group_name_Hall '-P 3 2"'
_cell_length_a 3.7280
_cell_length_b 3.7280
_cell_length_c 15.3335
_cell_angle_alpha 90.00
_cell_angle_beta 90.00
_cell_angle_gamma 120.00
loop_
_atom_site_label
_atom_site_type_symbol
_atom_site_fract_x
_atom_site_fract_y
_atom_site_fract_z
Mn1 Mn 0.3333 0.6667 0.4019
Ga1 Ga 0.3333 0.6667 0.8286
S1 S 0.0000 0.0000 0.5000
S2 S 0.3333 0.6667 0.1059
S3 S 0.3333 0.6667 0.6831
```

---

[3]
VASP calculation (GGA-PBE) on an optimized crystal structure of ScMnGaS4.

Output
The crystal system is orthorhombic.

Cell and atoms, written as CIF:
```
data_ScMnGaS4
_chemical_formula_sum 'Sc4 Mn4 Ga4 S16'
_symmetry_space_group_name_H-M 'P n m a'
_symmetry_Int_Tables_number 62
_cell_length_a 12.865
_cell_length_b 7.420
_cell_length_c 6.116
_cell_angle_alpha 90.00
_cell_angle_beta 90.00
_cell_angle_gamma 90.00
loop_
_symmetry_equiv_pos_as_xyz
'x,y,z'
'-x,-y,-z'
'-x+1/2,-y,z+1/2'
'x+1/2,y,-z+1/2'
'x+1/2,-y+1/2,-z+1/2'
'-x+1/2,y+1/2,z+1/2'
'-x,y+1/2,-z'
'x,-y+1/2,z'
loop_
_atom_site_label
_atom_site_type_symbol
_atom_site_fract_x
_atom_site_fract_y
_atom_site_fract_z
Sc1 Sc 0.233 0.250 0.003
Mn1 Mn 0.000 0.000 0.500
Ga1 Ga 0.088 0.750 0.081
S1 S 0.072 0.250 0.752
S2 S 0.090 0.750 0.713
S3 S 0.168 0.510 0.256
```

---

[4]
VASP calculation (GGA-PBE) on an optimized crystal structure of Sm3MnGaS7.

Output
The crystal system is hexagonal.

Cell and atoms, written as CIF:
```
data_Sm3MnGaS7
_chemical_formula_sum 'Sm6 Mn2 Ga2 S14'
_symmetry_space_group_name_H-M 'P 63'
_symmetry_Int_Tables_number 173
_cell_length_a 9.9746
_cell_length_b 9.9746
_cell_length_c 6.0664
_cell_angle_alpha 90.00
_cell_angle_beta 90.00
_cell_angle_gamma 120.00
loop_
_symmetry_equiv_pos_as_xyz
'x,y,z'
'x-y,x,z+1/2'
'-y,x-y,z'
'-x,-y,z+1/2'
'-x+y,-x,z'
'y,-x+y,z+1/2'
loop_
_atom_site_label
_atom_site_type_symbol
_atom_site_fract_x
_atom_site_fract_y
_atom_site_fract_z
Sm1 Sm 0.1410 0.3752 0.0000
Mn1 Mn 0.0000 0.0000 0.2774
Ga1 Ga 0.3333 0.6667 0.4234
S1 S 0.0937 0.2414 0.5511
S2 S 0.0948 0.5797 0.2643
S3 S 0.3333 0.6667 0.7946
```

---

[5]
VASP calculation (GGA-PBE) on an optimized crystal structure of Sc3Mn2Ga6.

Output
The crystal system is orthorhombic.

Cell and atoms, written as CIF:
```
data_Sc3Mn2Ga6
_chemical_formula_sum 'Sc12 Mn8 Ga24'
_symmetry_space_group_name_H-M 'P n m a'
_symmetry_Int_Tables_number 62
_cell_length_a 8.093
_cell_length_b 8.552
_cell_length_c 10.607
_cell_angle_alpha 90.00
_cell_angle_beta 90.00
_cell_angle_gamma 90.00
loop_
_symmetry_equiv_pos_as_xyz
'x,y,z'
'-x,-y,-z'
'-x+1/2,-y,z+1/2'
'x+1/2,y,-z+1/2'
'x+1/2,-y+1/2,-z+1/2'
'-x+1/2,y+1/2,z+1/2'
'-x,y+1/2,-z'
'x,-y+1/2,z'
loop_
_atom_site_label
_atom_site_type_symbol
_atom_site_fract_x
_atom_site_fract_y
_atom_site_fract_z
Sc1 Sc 0.042 0.250 0.063
Sc2 Sc 0.063 0.555 0.639
Mn1 Mn 0.138 0.250 0.766
Mn2 Mn 0.190 0.250 0.517
Ga1 Ga 0.095 0.750 0.414
Ga2 Ga 0.118 0.583 0.155
Ga3 Ga 0.205 0.005 0.913
Ga4 Ga 0.222 0.250 0.281
```

---

[6]
VASP calculation (GGA-PBE) on an optimized crystal structure of Tm3Mn3Ga2Si.

Output
The crystal system is hexagonal.

Cell and atoms, written as CIF:
```
data_Tm3Mn3Ga2Si
_chemical_formula_sum 'Tm3 Mn3 Ga2 Si1'
_symmetry_space_group_name_H-M 'P -6 2 m'
_symmetry_Int_Tables_number 189
_symmetry_space_group_name_Hall 'P -6 -2'
_cell_length_a 7.0274
_cell_length_b 7.0274
_cell_length_c 3.8624
_cell_angle_alpha 90.00
_cell_angle_beta 90.00
_cell_angle_gamma 120.00
loop_
_atom_site_label
_atom_site_type_symbol
_atom_site_fract_x
_atom_site_fract_y
_atom_site_fract_z
Tm1 Tm 0.0000 0.5954 0.0000
Mn1 Mn 0.0000 0.2214 0.5000
Ga1 Ga 0.3333 0.6667 0.5000
Si1 Si 0.0000 0.0000 0.0000
```

---

[7]
VASP calculation (GGA-PBE) on an optimized crystal structure of Y3Mn3Ga2Si.

Output
The crystal system is hexagonal.

Cell and atoms, written as CIF:
```
data_Y3Mn3Ga2Si
_chemical_formula_sum 'Y3 Mn3 Ga2 Si1'
_symmetry_space_group_name_H-M 'P -6'
_symmetry_Int_Tables_number 174
_cell_length_a 7.0024
_cell_length_b 7.0024
_cell_length_c 4.1529
_cell_angle_alpha 90.00
_cell_angle_beta 90.00
_cell_angle_gamma 120.00
loop_
_symmetry_equiv_pos_as_xyz
'x,y,z'
'-x+y,-x,-z'
'-y,x-y,z'
'x,y,-z'
'-x+y,-x,z'
'-y,x-y,-z'
loop_
_atom_site_label
_atom_site_type_symbol
_atom_site_fract_x
_atom_site_fract_y
_atom_site_fract_z
Y1 Y 0.0038 0.5804 0.0000
Mn1 Mn 0.0136 0.2407 0.5000
Ga1 Ga 0.0000 0.0000 0.0000
Ga2 Ga 0.6667 0.3333 0.5000
Si1 Si 0.3333 0.6667 0.5000
```

---

[8]
VASP calculation (GGA-PBE) on an optimized crystal structure of Sm2MnGa6.

Output
The crystal system is cubic.

Cell and atoms, written as CIF:
```
data_Sm2MnGa6
_chemical_formula_sum 'Sm8 Mn4 Ga24'
_symmetry_space_group_name_H-M 'F m -3 m'
_symmetry_Int_Tables_number 225
_symmetry_space_group_name_Hall '-F 4 2 3'
_cell_length_a 8.847
_cell_length_b 8.847
_cell_length_c 8.847
_cell_angle_alpha 90.00
_cell_angle_beta 90.00
_cell_angle_gamma 90.00
loop_
_atom_site_label
_atom_site_type_symbol
_atom_site_fract_x
_atom_site_fract_y
_atom_site_fract_z
Sm1 Sm 0.250 0.250 0.250
Mn1 Mn 0.000 0.000 0.000
Ga1 Ga 0.000 0.000 0.282
```

---

[9]
VASP calculation (GGA-PBE) on an optimized crystal structure of TmMn6Ga2Sn4.

Output
The crystal system is hexagonal.

Cell and atoms, written as CIF:
```
data_TmMn6Ga2Sn4
_chemical_formula_sum 'Tm1 Mn6 Ga2 Sn4'
_symmetry_space_group_name_H-M 'P 6/m m m'
_symmetry_Int_Tables_number 191
_symmetry_space_group_name_Hall '-P 6 2'
_cell_length_a 5.3596
_cell_length_b 5.3596
_cell_length_c 8.7795
_cell_angle_alpha 90.00
_cell_angle_beta 90.00
_cell_angle_gamma 120.00
loop_
_atom_site_label
_atom_site_type_symbol
_atom_site_fract_x
_atom_site_fract_y
_atom_site_fract_z
Tm1 Tm 0.0000 0.0000 0.0000
Mn1 Mn 0.0000 0.5000 0.2355
Ga1 Ga 0.3333 0.6667 0.0000
Sn1 Sn 0.0000 0.0000 0.3315
Sn2 Sn 0.3333 0.6667 0.5000
```

---

[10]
VASP calculation (GGA-PBE) on an optimized crystal structure of ZrMn6GaSn5.

Output
The crystal system is hexagonal.

Cell and atoms, written as CIF:
```
data_ZrMn6GaSn5
_chemical_formula_sum 'Zr1 Mn6 Ga1 Sn5'
_symmetry_space_group_name_H-M 'P -6 m 2'
_symmetry_Int_Tables_number 187
_symmetry_space_group_name_Hall 'P -6 2'
_cell_length_a 5.3520
_cell_length_b 5.3520
_cell_length_c 8.9059
_cell_angle_alpha 90.00
_cell_angle_beta 90.00
_cell_angle_gamma 120.00
loop_
_atom_site_label
_atom_site_type_symbol
_atom_site_fract_x
_atom_site_fract_y
_atom_site_fract_z
Zr1 Zr 0.0000 0.0000 0.0000
Mn1 Mn 0.5031 0.0062 0.2423
Ga1 Ga 0.6667 0.3333 0.0000
Sn1 Sn 0.0000 0.0000 0.3273
Sn2 Sn 0.3333 0.6667 0.0000
Sn3 Sn 0.3333 0.6667 0.5000
Sn4 Sn 0.6667 0.3333 0.5000
```

---

[11]
VASP calculation (GGA-PBE) on an optimized crystal structure of Ti2MnGa.

Output
The crystal system is cubic.

Cell and atoms, written as CIF:
```
data_Ti2MnGa
_chemical_formula_sum 'Ti8 Mn4 Ga4'
_symmetry_space_group_name_H-M 'F -4 3 m'
_symmetry_Int_Tables_number 216
_symmetry_space_group_name_Hall 'F -4 2 3'
_cell_length_a 6.225
_cell_length_b 6.225
_cell_length_c 6.225
_cell_angle_alpha 90.00
_cell_angle_beta 90.00
_cell_angle_gamma 90.00
loop_
_atom_site_label
_atom_site_type_symbol
_atom_site_fract_x
_atom_site_fract_y
_atom_site_fract_z
Ti1 Ti 0.000 0.000 0.000
Ti2 Ti 0.250 0.250 0.250
Mn1 Mn 0.250 0.250 0.750
Ga1 Ga 0.000 0.000 0.500
```

---

[12]
VASP calculation (GGA-PBE) on an optimized crystal structure of MnVGa5.

Output
The crystal system is orthorhombic.

Cell and atoms, written as CIF:
```
data_MnVGa5
_chemical_formula_sum 'Mn4 V4 Ga20'
_symmetry_space_group_name_H-M 'C m m m'
_symmetry_Int_Tables_number 65
_symmetry_space_group_name_Hall '-C 2 2'
_cell_length_a 12.538
_cell_length_b 12.622
_cell_length_c 2.690
_cell_angle_alpha 90.00
_cell_angle_beta 90.00
_cell_angle_gamma 90.00
loop_
_atom_site_label
_atom_site_type_symbol
_atom_site_fract_x
_atom_site_fract_y
_atom_site_fract_z
Mn1 Mn 0.000 0.178 0.000
V1 V 0.181 0.500 0.000
Ga1 Ga 0.000 0.000 0.500
Ga2 Ga 0.000 0.500 0.500
Ga3 Ga 0.116 0.320 0.500
Ga4 Ga 0.178 0.117 0.500
```

---

| no. | formation energy (eV/atom) |
| --- | --- |
| 1 | -0.481 |
| 2 | -0.880 |
| 3 | -1.357 |
| 4 | -1.826 |
| 5 | -0.464 |
| 6 | -0.369 |
| 7 | -0.346 |
| 8 | -0.547 |
| 9 | -0.171 |
| 10 | -0.136 |
| 11 | -0.265 |
| 12 | -0.176 |